DFT (PBE) results for NpIO after structural relaxation.

Summary:
Symmetry ... P4/nmm, No. 129
ΔH_f (0 K) ... -2.32 eV per atom
V ... 74.40 Å³/f.u.

a = 4.0005 Å, b = 4.0005 Å, c = 9.2983 Å
α = 90.00°, β = 90.00°, γ = 90.00°
With the nearest neighbours (Å) after each atom.
Element x y z (fractional)
1 Np 0.2500 0.2500 0.1257  4 O 2.32
2 Np 0.7500 0.7500 0.8743  4 O 2.32
3 I 0.2500 0.2500 0.6730  4 Np 3.39, 4 O 3.64
4 I 0.7500 0.7500 0.3270  4 Np 3.39, 4 O 3.64
5 O 0.2500 0.7500 0.0000  4 Np 2.32
6 O 0.7500 0.2500 0.0000  4 Np 2.32